Model a:
{"formula": "K4P4H6WO14", "functional": "PBE with a Hubbard U", "state": "relaxed", "space_group": "C2/c (15)", "crystal_system": "monoclinic", "lattice": [[4.5138, 2.2952, -5.2818], [0.5865, -7.1451, -7.6721], [-7.1439, 6.1414, -8.5048]], "species": ["K", "K", "K", "K", "K", "K", "K", "K", "P", "P", "P", "P", "P", "P", "P", "P", "H", "H", "H", "H", "H", "H", "H", "H", "H", "H", "H", "H", "W", "W", "O", "O", "O", "O", "O", "O", "O", "O", "O", "O", "O", "O", "O", "O", "O", "O", "O", "O", "O", "O", "O", "O", "O", "O", "O", "O", "O", "O"], "fractional_positions": [[0.7536, 0.5263, 0.4535], [0.2464, 0.4737, 0.5465], [0.7334, 0.9737, 0.0465], [0.2666, 0.0263, 0.9535], [0.7198, 0.0647, 0.3994], [0.2802, 0.9353, 0.6006], [0.1839, 0.4353, 0.1006], [0.8161, 0.5647, 0.8994], [0.8222, 0.2572, 0.0897], [0.1778, 0.7428, 0.9103], [0.1691, 0.2428, 0.4103], [0.8309, 0.7572, 0.5897], [0.5887, 0.5122, 0.2066], [0.4113, 0.4878, 0.7934], [0.3076, 0.9878, 0.2934], [0.6924, 0.0122, 0.7066], [0.3073, 0.4854, 0.3177], [0.6927, 0.5146, 0.6823], [0.1104, 0.0146, 0.1823], [0.8896, 0.9854, 0.8177], [0.0816, 0.6199, 0.2304], [0.9184, 0.3801, 0.7696], [0.9319, 0.8801, 0.2696], [0.0681, 0.1199, 0.7304], [0.3807, 0.6758, 0.0289], [0.6193, 0.3242, 0.9711], [0.0854, 0.8242, 0.4711], [0.9146, 0.1758, 0.5289], [0.8365, 0.7500, 0.2500], [0.1635, 0.2500, 0.7500], [0.9027, 0.1125, 0.1324], [0.0973, 0.8875, 0.8676], [0.1476, 0.3875, 0.3676], [0.8524, 0.6125, 0.6324], [0.6885, 0.8222, 0.5182], [0.3115, 0.1778, 0.4818], [0.0289, 0.6778, 0.9818], [0.9711, 0.3222, 0.0182], [0.6940, 0.3463, 0.1997], [0.3060, 0.6537, 0.8003], [0.2400, 0.1537, 0.3003], [0.7600, 0.8463, 0.6997], [0.6547, 0.2552, 0.0316], [0.3453, 0.7448, 0.9684], [0.9415, 0.2448, 0.4684], [0.0585, 0.7552, 0.5316], [0.5355, 0.9307, 0.2703], [0.4645, 0.0693, 0.7297], [0.7365, 0.5693, 0.2297], [0.2635, 0.4307, 0.7703], [0.5099, 0.5634, 0.1067], [0.4901, 0.4366, 0.8933], [0.1800, 0.9366, 0.3933], [0.8200, 0.0634, 0.6067], [0.4180, 0.5206, 0.3197], [0.5820, 0.4794, 0.6803], [0.2583, 0.9794, 0.1803], [0.7417, 0.0206, 0.8197]]}

=====

Model b:
{"formula": "K4P4H6WO14", "functional": "PBE with a Hubbard U", "state": "relaxed", "space_group": "C2/c (15)", "crystal_system": "monoclinic", "lattice": [[3.7497, 11.2023, 0.0000], [-3.7497, 11.2023, 0.0000], [0.0000, 6.9569, 12.4410]], "species": ["K", "K", "K", "K", "K", "K", "K", "K", "P", "P", "P", "P", "P", "P", "P", "P", "H", "H", "H", "H", "H", "H", "H", "H", "H", "H", "H", "H", "W", "W", "O", "O", "O", "O", "O", "O", "O", "O", "O", "O", "O", "O", "O", "O", "O", "O", "O", "O", "O", "O", "O", "O", "O", "O", "O", "O", "O", "O"], "fractional_positions": [[0.7797, 0.2492, 0.9409], [0.2203, 0.7508, 0.0591], [0.7508, 0.2203, 0.5591], [0.2492, 0.7797, 0.4409], [0.5863, 0.9898, 0.8455], [0.4137, 0.0102, 0.1545], [0.0102, 0.4137, 0.6545], [0.9898, 0.5863, 0.3455], [0.8065, 0.8783, 0.5468], [0.1935, 0.1217, 0.4532], [0.1217, 0.1935, 0.9532], [0.8783, 0.8065, 0.0468], [0.4719, 0.7352, 0.7573], [0.5281, 0.2648, 0.2427], [0.2648, 0.5281, 0.7427], [0.7352, 0.4719, 0.2573], [0.3145, 0.9067, 0.8829], [0.6855, 0.0933, 0.1171], [0.0933, 0.6855, 0.6171], [0.9067, 0.3145, 0.3829], [0.6094, 0.8640, 0.6609], [0.3906, 0.1360, 0.3391], [0.1360, 0.3906, 0.8391], [0.8640, 0.6094, 0.1609], [0.4043, 0.9043, 0.5647], [0.5957, 0.0957, 0.4353], [0.0957, 0.5957, 0.9353], [0.9043, 0.4043, 0.0647], [0.4415, 0.5585, 0.7500], [0.5585, 0.4415, 0.2500], [0.9171, 0.8854, 0.5677], [0.0829, 0.1146, 0.4323], [0.1146, 0.0829, 0.9323], [0.8854, 0.9171, 0.0677], [0.7223, 0.9220, 0.9892], [0.2777, 0.0780, 0.0108], [0.0780, 0.2777, 0.5108], [0.9220, 0.7223, 0.4892], [0.7006, 0.8579, 0.6637], [0.2994, 0.1421, 0.3363], [0.1421, 0.2994, 0.8363], [0.8579, 0.7006, 0.1637], [0.6422, 0.0874, 0.4851], [0.3578, 0.9126, 0.5149], [0.9126, 0.3578, 0.0149], [0.0874, 0.6422, 0.9851], [0.4893, 0.3335, 0.7400], [0.5107, 0.6665, 0.2600], [0.6665, 0.5107, 0.7600], [0.3335, 0.4893, 0.2400], [0.4828, 0.8624, 0.6609], [0.5172, 0.1376, 0.3391], [0.1376, 0.5172, 0.8391], [0.8624, 0.4828, 0.1609], [0.4450, 0.7707, 0.8664], [0.5550, 0.2293, 0.1336], [0.2293, 0.5550, 0.6336], [0.7707, 0.4450, 0.3664]]}

=====

Winner for stability: model a

=====

Model a:
{"formula": "KVH4O7", "functional": "PBE with a Hubbard U", "state": "relaxed", "space_group": "P1 (1)", "crystal_system": "triclinic", "lattice": [[6.4101, -0.1222, -0.6558], [-0.0182, -0.7427, -7.7035], [2.6717, 6.7513, -2.3739]], "species": ["K", "K", "V", "V", "H", "H", "H", "H", "H", "H", "H", "H", "O", "O", "O", "O", "O", "O", "O", "O", "O", "O", "O", "O", "O", "O"], "fractional_positions": [[0.0166, 0.0470, 0.0109], [0.1689, 0.3577, 0.4398], [0.5075, 0.3638, 0.9253], [0.6883, 0.0534, 0.5889], [0.5722, 0.7272, 0.6575], [0.4641, 0.8248, 0.4956], [0.6712, 0.5195, 0.0830], [0.5101, 0.6836, 0.0376], [0.3713, 0.8863, 0.2831], [0.1499, 0.8660, 0.4872], [0.2361, 0.5542, 0.7369], [0.1589, 0.5770, 0.9465], [0.5246, 0.8826, 0.9382], [0.5625, 0.9656, 0.0611], [0.7887, 0.4694, 0.7277], [0.8175, 0.3521, 0.9001], [0.5286, 0.2635, 0.6843], [0.3825, 0.1339, 0.6734], [0.9168, 0.0790, 0.6791], [0.9217, 0.9017, 0.6441], [0.2815, 0.2569, 0.0916], [0.7890, 0.1390, 0.3580], [0.5961, 0.8247, 0.5467], [0.5142, 0.5498, 0.0992], [0.2978, 0.8124, 0.4142], [0.2921, 0.5739, 0.8334]]}

=====

Model b:
{"formula": "KVH4O7", "functional": "PBE with a Hubbard U", "state": "relaxed", "space_group": "P1 (1)", "crystal_system": "triclinic", "lattice": [[4.7452, -4.4130, 1.1211], [1.6157, 2.4671, 7.1369], [-7.1531, -2.9665, 0.3256]], "species": ["K", "K", "V", "V", "H", "H", "H", "H", "H", "H", "H", "H", "O", "O", "O", "O", "O", "O", "O", "O", "O", "O", "O", "O", "O", "O"], "fractional_positions": [[0.9772, 0.0084, 0.9865], [0.7921, 0.5987, 0.4238], [0.4685, 0.7785, 0.9018], [0.2954, 0.9520, 0.5492], [0.3626, 0.3030, 0.6388], [0.5296, 0.1962, 0.5136], [0.3504, 0.4972, 0.0557], [0.4267, 0.2990, 0.0622], [0.6199, 0.0935, 0.3055], [0.8341, 0.1307, 0.5167], [0.7025, 0.4323, 0.8324], [0.9453, 0.4447, 0.9640], [0.5249, 0.0294, 0.9462], [0.4340, 0.9956, 0.0797], [0.2778, 0.5725, 0.7417], [0.2431, 0.6570, 0.9223], [0.4833, 0.7524, 0.6355], [0.6047, 0.8963, 0.6245], [0.1044, 0.8933, 0.6561], [0.0904, 0.0826, 0.6530], [0.7103, 0.7028, 0.0232], [0.1701, 0.8720, 0.3147], [0.3847, 0.1935, 0.5485], [0.4168, 0.4177, 0.1447], [0.6903, 0.1792, 0.4378], [0.8321, 0.3564, 0.8653]]}

=====

Winner for stability: model b

=====

Model a:
{"formula": "KV5ZnH16O22", "functional": "PBE with a Hubbard U", "state": "relaxed", "space_group": "P-1 (2)", "crystal_system": "triclinic", "lattice": [[-2.2983, 2.6193, -7.7131], [6.4942, -6.2777, -6.4449], [-5.9650, -10.1230, -5.0581]], "species": ["K", "K", "V", "V", "V", "V", "V", "V", "V", "V", "V", "V", "Zn", "Zn", "H", "H", "H", "H", "H", "H", "H", "H", "H", "H", "H", "H", "H", "H", "H", "H", "H", "H", "H", "H", "H", "H", "H", "H", "H", "H", "H", "H", "H", "H", "H", "H", "O", "O", "O", "O", "O", "O", "O", "O", "O", "O", "O", "O", "O", "O", "O", "O", "O", "O", "O", "O", "O", "O", "O", "O", "O", "O", "O", "O", "O", "O", "O", "O", "O", "O", "O", "O", "O", "O", "O", "O", "O", "O", "O", "O"], "fractional_positions": [[0.1838, 0.8195, 0.4781], [0.8162, 0.1805, 0.5219], [0.6736, 0.5299, 0.9931], [0.3264, 0.4701, 0.0069], [0.6236, 0.5236, 0.7562], [0.3764, 0.4764, 0.2438], [0.3605, 0.7404, 0.0354], [0.6395, 0.2596, 0.9646], [0.3141, 0.7243, 0.7812], [0.6859, 0.2757, 0.2188], [0.6554, 0.8121, 0.7969], [0.3446, 0.1879, 0.2031], [0.8315, 0.7963, 0.1783], [0.1685, 0.2037, 0.8217], [0.3849, 0.1466, 0.4933], [0.6151, 0.8534, 0.5067], [0.8856, 0.2574, 0.0322], [0.1144, 0.7426, 0.9678], [0.4039, 0.9629, 0.6912], [0.5961, 0.0371, 0.3088], [0.3677, 0.3589, 0.8613], [0.6323, 0.6411, 0.1387], [0.4167, 0.0025, 0.9096], [0.5833, 0.9975, 0.0904], [0.0890, 0.6934, 0.3263], [0.9110, 0.3066, 0.6737], [0.3927, 0.1148, 0.9618], [0.6073, 0.8852, 0.0382], [0.1456, 0.3100, 0.9639], [0.8544, 0.6900, 0.0361], [0.1094, 0.9528, 0.8908], [0.8906, 0.0472, 0.1092], [0.9933, 0.0656, 0.8057], [0.0067, 0.9344, 0.1943], [0.6820, 0.8326, 0.4636], [0.3180, 0.1674, 0.5364], [0.1459, 0.5146, 0.8659], [0.8541, 0.4854, 0.1341], [0.0425, 0.8212, 0.7297], [0.9575, 0.1788, 0.2703], [0.9659, 0.4473, 0.3823], [0.0341, 0.5527, 0.6177], [0.0945, 0.5123, 0.5875], [0.9055, 0.4877, 0.4125], [0.2870, 0.2555, 0.3757], [0.7130, 0.7445, 0.6243], [0.4565, 0.8723, 0.7189], [0.5435, 0.1277, 0.2811], [0.4796, 0.6152, 0.9057], [0.5204, 0.3848, 0.0943], [0.5395, 0.6119, 0.1201], [0.4605, 0.3881, 0.8799], [0.7765, 0.6692, 0.9112], [0.2235, 0.3308, 0.0888], [0.2652, 0.5734, 0.1061], [0.7348, 0.4266, 0.8939], [0.4288, 0.6387, 0.6966], [0.5712, 0.3613, 0.3034], [0.7258, 0.4511, 0.6671], [0.2742, 0.5489, 0.3329], [0.7313, 0.6919, 0.7038], [0.2687, 0.3081, 0.2962], [0.5082, 0.8485, 0.9320], [0.4918, 0.1515, 0.0680], [0.2739, 0.8144, 0.1239], [0.7261, 0.1856, 0.8761], [0.2062, 0.7957, 0.9240], [0.7938, 0.2043, 0.0760], [0.2274, 0.0670, 0.2772], [0.7726, 0.9330, 0.7228], [0.1769, 0.5771, 0.8941], [0.8231, 0.4229, 0.1059], [0.1562, 0.8365, 0.6926], [0.8438, 0.1635, 0.3074], [0.4003, 0.3299, 0.6770], [0.5997, 0.6701, 0.3230], [0.8539, 0.7517, 0.3409], [0.1461, 0.2483, 0.6591], [0.3710, 0.0962, 0.8978], [0.6290, 0.9038, 0.1022], [0.5061, 0.2656, 0.6281], [0.4939, 0.7344, 0.3719], [0.1575, 0.3414, 0.8793], [0.8425, 0.6586, 0.1207], [0.0436, 0.0416, 0.8743], [0.9564, 0.9584, 0.1257], [0.4446, 0.5264, 0.5274], [0.5554, 0.4736, 0.4726], [0.9779, 0.2265, 0.6639], [0.0221, 0.7735, 0.3361]]}

=====

Model b:
{"formula": "KV5ZnH16O22", "functional": "PBE with a Hubbard U", "state": "relaxed", "space_group": "P-1 (2)", "crystal_system": "triclinic", "lattice": [[8.8236, 0.0000, 0.0000], [3.5325, 10.3567, 0.0000], [2.8845, 4.1628, 10.1059]], "species": ["K", "K", "V", "V", "V", "V", "V", "V", "V", "V", "V", "V", "Zn", "Zn", "H", "H", "H", "H", "H", "H", "H", "H", "H", "H", "H", "H", "H", "H", "H", "H", "H", "H", "H", "H", "H", "H", "H", "H", "H", "H", "H", "H", "H", "H", "H", "H", "O", "O", "O", "O", "O", "O", "O", "O", "O", "O", "O", "O", "O", "O", "O", "O", "O", "O", "O", "O", "O", "O", "O", "O", "O", "O", "O", "O", "O", "O", "O", "O", "O", "O", "O", "O", "O", "O", "O", "O", "O", "O", "O", "O"], "fractional_positions": [[0.6836, 0.5833, 0.2255], [0.3164, 0.4167, 0.7745], [0.3250, 0.9967, 0.4780], [0.6750, 0.0033, 0.5220], [0.3845, 0.2823, 0.4461], [0.6155, 0.7177, 0.5539], [0.6481, 0.9485, 0.2743], [0.3519, 0.0515, 0.7257], [0.6972, 0.2359, 0.2427], [0.3028, 0.7641, 0.7573], [0.3627, 0.2281, 0.1968], [0.6373, 0.7719, 0.8032], [0.2284, 0.7695, 0.2081], [0.7716, 0.2305, 0.7919], [0.6450, 0.4859, 0.8123], [0.3550, 0.5141, 0.1877], [0.0146, 0.0152, 0.7480], [0.9854, 0.9848, 0.2520], [0.5983, 0.3735, 0.9553], [0.4017, 0.6265, 0.0447], [0.6011, 0.2557, 0.6106], [0.3989, 0.7443, 0.3894], [0.5652, 0.0968, 0.9990], [0.4348, 0.9032, 0.0010], [0.9527, 0.6856, 0.3072], [0.0473, 0.3144, 0.6928], [0.5866, 0.0463, 0.8798], [0.4134, 0.9537, 0.1202], [0.8610, 0.9974, 0.7129], [0.1390, 0.0026, 0.2871], [0.8791, 0.1127, 0.0299], [0.1209, 0.8873, 0.9701], [0.9581, 0.2377, 0.9272], [0.0419, 0.7623, 0.0728], [0.0361, 0.3499, 0.3751], [0.9639, 0.6501, 0.6249], [0.9078, 0.2641, 0.4171], [0.0922, 0.7359, 0.5829], [0.9802, 0.3899, 0.9867], [0.0198, 0.6101, 0.0133], [0.0499, 0.6469, 0.4229], [0.9501, 0.3531, 0.5771], [0.6833, 0.3847, 0.5523], [0.3167, 0.6153, 0.4477], [0.9204, 0.4960, 0.8537], [0.0796, 0.5040, 0.1463], [0.5439, 0.3024, 0.1288], [0.4561, 0.6976, 0.8712], [0.5154, 0.0962, 0.3804], [0.4846, 0.9038, 0.6196], [0.4764, 0.8562, 0.4107], [0.5236, 0.1438, 0.5893], [0.2343, 0.0956, 0.3335], [0.7657, 0.9044, 0.6665], [0.7401, 0.8643, 0.4479], [0.2599, 0.1357, 0.5521], [0.5645, 0.3404, 0.3425], [0.4355, 0.6596, 0.6575], [0.2937, 0.3987, 0.5124], [0.7063, 0.6013, 0.4876], [0.2775, 0.3375, 0.3013], [0.7225, 0.6625, 0.6987], [0.4937, 0.0623, 0.1620], [0.5063, 0.9377, 0.8380], [0.7437, 0.8230, 0.2197], [0.2563, 0.1770, 0.7803], [0.7823, 0.0695, 0.2036], [0.2177, 0.9305, 0.7964], [0.7475, 0.6888, 0.9235], [0.2525, 0.3112, 0.0765], [0.7956, 0.1133, 0.4124], [0.2044, 0.8867, 0.5876], [0.8332, 0.3252, 0.1566], [0.1668, 0.6748, 0.8434], [0.6289, 0.3245, 0.6329], [0.3711, 0.6755, 0.3671], [0.0614, 0.6461, 0.3338], [0.9386, 0.3539, 0.6662], [0.5947, 0.1223, 0.9016], [0.4053, 0.8777, 0.0984], [0.6160, 0.3952, 0.8587], [0.3840, 0.6048, 0.1413], [0.9025, 0.0618, 0.7294], [0.0975, 0.9382, 0.2706], [0.9229, 0.1564, 0.9359], [0.0771, 0.8436, 0.0641], [0.9226, 0.3510, 0.4133], [0.0774, 0.6490, 0.5867], [0.9985, 0.4075, 0.8923], [0.0015, 0.5925, 0.1077]]}

=====

Winner for stability: model b